# 1
The following is a DFT calculation (PBE) of MoPt after structural relaxation.

Results
Calculated volume: 15.45 Å³/atom
Uncorrected energy: -35.11 eV/cell

abc: 2.7597 4.5061 4.9700
angles: 90.00 90.00 90.00
Last column: nearest neighbours and their distance in Å.
Atoms (fractional coordinates):
Mo  0.0000  0.2500  0.1648  4 Mo 2.76-2.79, 8 Pt 2.77-2.85
Mo  0.0000  0.7500  0.8352  4 Mo 2.76-2.79, 8 Pt 2.77-2.85
Pt  0.5000  0.2500  0.6660  4 Pt 2.76-2.79, 8 Mo 2.77-2.85
Pt  0.5000  0.7500  0.3340  4 Pt 2.76-2.79, 8 Mo 2.77-2.85


# 2
The following is a DFT calculation (PBE) of Si4MoPt3 after structural relaxation.

Results
Calculated volume: 15.04 Å³/atom
Uncorrected energy: -223.52 eV/cell

abc: 3.5208 5.5626 24.5771
angles: 90.00 90.00 90.00
Last column: nearest neighbours and their distance in Å.
Atoms (fractional coordinates):
Si  0.2500  0.1788  0.5196  6 Pt 2.43-2.61
Si  0.7500  0.3212  0.0196  6 Pt 2.43-2.61
Si  0.2500  0.6788  0.9804  6 Pt 2.43-2.61
Si  0.7500  0.8212  0.4804  6 Pt 2.43-2.61
Si  0.7500  0.3201  0.6458  4 Pt 2.49-2.60, 2 Mo 2.58, 2 Si 2.73
Si  0.2500  0.1799  0.1458  4 Pt 2.49-2.60, 2 Mo 2.58, 2 Si 2.73
Si  0.7500  0.8201  0.8542  4 Pt 2.49-2.60, 2 Mo 2.58, 2 Si 2.73
Si  0.2500  0.6799  0.3542  4 Pt 2.49-2.60, 2 Mo 2.58, 2 Si 2.73
Si  0.2500  0.6601  0.6098  3 Pt 2.42-2.48, 1 Mo 2.61
Si  0.7500  0.8399  0.1098  3 Pt 2.42-2.48, 1 Mo 2.61
Si  0.2500  0.1601  0.8902  3 Pt 2.42-2.48, 1 Mo 2.61
Si  0.7500  0.3399  0.3902  3 Pt 2.42-2.48, 1 Mo 2.61
Si  0.7500  0.8309  0.7262  2 Pt 2.43, 4 Mo 2.55-2.56
Si  0.2500  0.6691  0.2262  2 Pt 2.43, 4 Mo 2.55-2.56
Si  0.7500  0.3309  0.7738  2 Pt 2.43, 4 Mo 2.55-2.56
Si  0.2500  0.1691  0.2738  2 Pt 2.43, 4 Mo 2.55-2.56
Mo  0.2500  0.5044  0.7100  7 Si 2.55-2.61
Mo  0.7500  0.9956  0.2100  7 Si 2.55-2.61
Mo  0.2500  0.0044  0.7900  7 Si 2.55-2.61
Mo  0.7500  0.4956  0.2900  7 Si 2.55-2.61
Pt  0.7500  0.0009  0.5747  4 Si 2.43-2.52
Pt  0.2500  0.4991  0.0747  4 Si 2.43-2.52
Pt  0.7500  0.5009  0.9253  4 Si 2.43-2.52
Pt  0.2500  0.9991  0.4253  4 Si 2.43-2.52
Pt  0.2500  0.0035  0.6701  5 Si 2.42-2.56
Pt  0.7500  0.4965  0.1701  5 Si 2.42-2.56
Pt  0.2500  0.5035  0.8299  5 Si 2.42-2.56
Pt  0.7500  0.9965  0.3299  5 Si 2.42-2.56
Pt  0.7500  0.5016  0.5482  6 Si 2.44-2.61
Pt  0.2500  0.9984  0.0482  6 Si 2.44-2.61
Pt  0.7500  0.0016  0.9518  6 Si 2.44-2.61
Pt  0.2500  0.4984  0.4518  6 Si 2.44-2.61